GGA-PBE Mg6VMo, optimized geometry; energy above the lowest structure with this stoichiometry = 72 meV per atom; total magnetic moment = 0.225 μB per atom; formation enthalpy at 0 K = 0.32 eV per atom; V = 19.7 Å³ per atom
1.0
-4.328 0.955 -2.169
1.003 -4.280 -3.885
-4.892 -7.150 6.613
Mg V Mo
12 2 2
direct
0.500 0.750 0.922
0.500 0.250 0.922
0.000 0.245 0.585
0.000 0.755 0.585
0.000 0.500 0.820
0.000 0.000 0.820
0.500 0.250 0.422
0.500 0.750 0.422
0.000 0.745 0.085
0.000 0.255 0.085
0.000 0.000 0.320
0.000 0.500 0.320
0.500 0.500 0.671
0.500 0.000 0.171
0.500 0.000 0.674
0.500 0.500 0.174


GGA-PBE Li2BPt3, optimized geometry; formation enthalpy at 0 K = -0.57 eV per atom; space group = P4_332 (212); V = 13.4 Å³ per atom
1.0
6.845 0.000 0.000
0.000 6.845 0.000
0.000 0.000 6.845
Li B Pt
8 4 12
direct
0.054 0.446 0.554
0.196 0.696 0.804
0.304 0.304 0.304
0.446 0.554 0.054
0.554 0.054 0.446
0.696 0.804 0.196
0.804 0.196 0.696
0.946 0.946 0.946
0.125 0.875 0.375
0.375 0.125 0.875
0.625 0.625 0.625
0.875 0.375 0.125
0.061 0.625 0.189
0.125 0.311 0.939
0.189 0.061 0.625
0.311 0.939 0.125
0.375 0.689 0.439
0.439 0.375 0.689
0.561 0.875 0.811
0.625 0.189 0.061
0.689 0.439 0.375
0.811 0.561 0.875
0.875 0.811 0.561
0.939 0.125 0.311


GGA-PBE Cs2RbAlF6, optimized geometry; total magnetic moment = 0.000 μB per atom; formation enthalpy at 0 K = -3.23 eV per atom; E (MP2020) = -5.0340 eV per atom; space group = Fm-3m (225); V = 15.1 Å³ per atom
1.0
0.000 4.229 4.229
4.229 0.000 4.229
4.229 4.229 0.000
Cs Rb Al F
2 1 1 6
direct
0.250 0.250 0.250
0.750 0.750 0.750
0.000 0.000 0.000
0.500 0.500 0.500
0.290 0.290 0.710
0.290 0.710 0.290
0.290 0.710 0.710
0.710 0.290 0.290
0.710 0.290 0.710
0.710 0.710 0.290